{
  "formula": "CaPrHg2",
  "functional": "PBE",
  "state": "optimized geometry",
  "lattice": [[0.0000, 3.8299, 3.8299], [3.8299, 0.0000, 3.8299], [3.8299, 3.8299, 0.0000]],
  "species": ["Ca", "Pr", "Hg", "Hg"],
  "fractional_positions": [[0.0000, 0.0000, 0.0000], [0.5000, 0.5000, 0.5000], [0.2500, 0.2500, 0.2500], [0.7500, 0.7500, 0.7500]],
  "formation_enthalpy_0k_mev_per_atom": -550
}